Entry 1:
## RbSnN (GGA-PBE)

Data for a relaxed RbSnN crystal.

a = 3.511 Å, b = 3.511 Å, c = 12.792 Å
α = 90.00°, β = 90.00°, γ = 120.00°
Fractional positions:
1 Rb 0.667 0.333 0.750
2 Rb 0.333 0.667 0.250
3 N 0.667 0.333 0.088
4 N 0.333 0.667 0.588
5 Sn 0.000 0.000 0.507
6 Sn 0.000 0.000 0.007

Properties
ΔE_f in eV per atom: -0.0497

---

Entry 2:
## Rb7VN4 (GGA-PBE)

Data for a relaxed Rb7VN4 crystal.

a = 14.625 Å, b = 14.625 Å, c = 14.625 Å
α = 90.00°, β = 90.00°, γ = 90.00°
Fractional positions:
1 N 0.910 0.505 0.165
2 N 0.090 0.495 0.835
3 N 0.090 0.005 0.335
4 N 0.182 0.818 0.318
5 N 0.318 0.318 0.318
6 N 0.505 0.335 0.410
7 N 0.165 0.910 0.505
8 N 0.335 0.410 0.505
9 N 0.818 0.182 0.682
10 N 0.665 0.910 0.995
11 N 0.335 0.090 0.005
12 N 0.590 0.005 0.165
13 N 0.005 0.165 0.590
14 N 0.835 0.410 0.995
15 N 0.410 0.995 0.835
16 N 0.995 0.835 0.410
17 N 0.665 0.590 0.495
18 N 0.182 0.682 0.818
19 N 0.005 0.335 0.090
20 N 0.505 0.165 0.910
21 N 0.495 0.665 0.590
22 N 0.495 0.835 0.090
23 N 0.165 0.590 0.005
24 N 0.318 0.182 0.818
25 N 0.910 0.995 0.665
26 N 0.410 0.505 0.335
27 N 0.590 0.495 0.665
28 N 0.835 0.090 0.495
29 N 0.995 0.665 0.910
30 N 0.682 0.818 0.182
31 N 0.682 0.682 0.682
32 N 0.818 0.318 0.182
33 Rb 0.864 0.436 0.328
34 Rb 0.205 0.205 0.205
35 Rb 0.677 0.404 0.529
36 Rb 0.471 0.323 0.596
37 Rb 0.672 0.364 0.064
38 Rb 0.564 0.828 0.636
39 Rb 0.177 0.096 0.471
40 Rb 0.436 0.172 0.364
41 Rb 0.323 0.596 0.471
42 Rb 0.323 0.904 0.971
43 Rb 0.936 0.328 0.636
44 Rb 0.136 0.564 0.672
45 Rb 0.564 0.672 0.136
46 Rb 0.295 0.795 0.705
47 Rb 0.971 0.177 0.404
48 Rb 0.436 0.328 0.864
49 Rb 0.904 0.971 0.323
50 Rb 0.596 0.029 0.823
51 Rb 0.172 0.136 0.936
52 Rb 0.596 0.471 0.323
53 Rb 0.823 0.904 0.529
54 Rb 0.636 0.936 0.328
55 Rb 0.971 0.323 0.904
56 Rb 0.823 0.596 0.029
57 Rb 0.328 0.864 0.436
58 Rb 0.096 0.029 0.677
59 Rb 0.029 0.823 0.596
60 Rb 0.529 0.823 0.904
61 Rb 0.705 0.205 0.295
62 Rb 0.096 0.471 0.177
63 Rb 0.672 0.136 0.564
64 Rb 0.677 0.096 0.029
65 Rb 0.064 0.828 0.864
66 Rb 0.295 0.705 0.205
67 Rb 0.828 0.864 0.064
68 Rb 0.364 0.436 0.172
69 Rb 0.529 0.677 0.404
70 Rb 0.328 0.636 0.936
71 Rb 0.795 0.705 0.295
72 Rb 0.136 0.936 0.172
73 Rb 0.705 0.295 0.795
74 Rb 0.904 0.529 0.823
75 Rb 0.795 0.795 0.795
76 Rb 0.471 0.177 0.096
77 Rb 0.404 0.971 0.177
78 Rb 0.636 0.564 0.828
79 Rb 0.172 0.364 0.436
80 Rb 0.177 0.404 0.971
81 Rb 0.404 0.529 0.677
82 Rb 0.029 0.677 0.096
83 Rb 0.064 0.672 0.364
84 Rb 0.205 0.295 0.705
85 Rb 0.828 0.636 0.564
86 Rb 0.864 0.064 0.828
87 Rb 0.364 0.064 0.672
88 Rb 0.936 0.172 0.136
89 V 0.608 0.892 0.108
90 V 0.108 0.892 0.392
91 V 0.892 0.392 0.108
92 V 0.108 0.608 0.892
93 V 0.892 0.108 0.608
94 V 0.392 0.392 0.392
95 V 0.608 0.608 0.608
96 V 0.392 0.108 0.892

Properties
ΔE_f in eV per atom: 0.0001

---

> Which of these has the highest ΔE_f?

Rb7VN4

---

> ΔE_f of number 1 (RbSnN)?

-0.0497 eV per atom

---

> Among the records above, which one has the highest ΔE_f?

Rb7VN4

---

> Which formula does entry 1 have?

RbSnN